[1]
Density functional theory data (GGA-PBE) for a relaxed Na3AlSiSnP2O12 crystal.

Lattice parameters (Å, degrees): 8.8415 8.8415 21.8828 90.04 90.04 59.86
Sites, in units of the cell vectors:
Na  0.0002  0.9998  0.0000
Na  0.9998  0.0002  0.5000
Na  0.0076  0.6287  0.2514
Na  0.0334  0.3060  0.4149
Na  0.0330  0.6734  0.9215
Na  0.3060  0.0334  0.9149
Na  0.3306  0.3381  0.3335
Na  0.3381  0.3306  0.8335
Na  0.3437  0.9670  0.5879
Na  0.3664  0.6424  0.7504
Na  0.6287  0.0076  0.7514
Na  0.6424  0.3664  0.2504
Na  0.6553  0.6760  0.1666
Na  0.6734  0.0330  0.4215
Na  0.6760  0.6553  0.6666
Na  0.7036  0.9675  0.0830
Na  0.9670  0.3437  0.0879
Na  0.9675  0.7036  0.5830
Al  0.0128  0.9950  0.3560
Al  0.3285  0.3315  0.1892
Al  0.3315  0.3285  0.6892
Al  0.6725  0.6745  0.5220
Al  0.6745  0.6725  0.0220
Al  0.9950  0.0128  0.8560
Si  0.0142  0.2859  0.2558
Si  0.0423  0.6271  0.0878
Si  0.2859  0.0142  0.7558
Si  0.6271  0.0423  0.5878
Si  0.6768  0.9644  0.9211
Si  0.9644  0.6768  0.4211
Sn  0.0097  0.9975  0.1522
Sn  0.3397  0.3400  0.4855
Sn  0.3400  0.3397  0.9855
Sn  0.6683  0.6728  0.8189
Sn  0.6728  0.6683  0.3189
Sn  0.9975  0.0097  0.6522
P  0.0100  0.7051  0.7544
P  0.0418  0.3423  0.5869
P  0.2936  0.7100  0.2553
P  0.3423  0.0418  0.0869
P  0.3460  0.6221  0.5900
P  0.3754  0.9545  0.4228
P  0.3813  0.6718  0.9215
P  0.6221  0.3460  0.0900
P  0.6718  0.3813  0.4215
P  0.7051  0.0100  0.2544
P  0.7100  0.2936  0.7553
P  0.9545  0.3754  0.9228
O  0.0079  0.8287  0.0907
O  0.0286  0.1686  0.3148
O  0.0312  0.1728  0.5920
O  0.0369  0.7960  0.8100
O  0.1339  0.3746  0.6405
O  0.1409  0.4993  0.1454
O  0.1417  0.3553  0.9253
O  0.1513  0.5546  0.0237
O  0.1533  0.3004  0.5273
O  0.1552  0.4950  0.4251
O  0.1686  0.0286  0.8148
O  0.1695  0.8023  0.3088
O  0.1728  0.0312  0.0920
O  0.1781  0.5281  0.7450
O  0.1807  0.8117  0.5926
O  0.1827  0.3118  0.2477
O  0.1920  0.9785  0.4147
O  0.1989  0.8390  0.9166
O  0.2162  0.9631  0.6935
O  0.2252  0.8155  0.1953
O  0.2932  0.5541  0.5329
O  0.3004  0.1533  0.0273
O  0.3118  0.1827  0.7477
O  0.3148  0.5258  0.2485
O  0.3501  0.5136  0.9242
O  0.3553  0.1417  0.4253
O  0.3633  0.5127  0.6468
O  0.3746  0.1339  0.1405
O  0.4645  0.8450  0.4798
O  0.4798  0.6859  0.2602
O  0.4824  0.6358  0.8599
O  0.4821  0.6941  0.9741
O  0.4856  0.8342  0.7566
O  0.4937  0.8808  0.3655
O  0.4950  0.1552  0.9251
O  0.4993  0.1409  0.6454
O  0.5055  0.8606  0.0788
O  0.5081  0.6406  0.5804
O  0.5127  0.3633  0.1468
O  0.5136  0.3501  0.4242
O  0.5258  0.3148  0.7485
O  0.5281  0.1781  0.2450
O  0.5541  0.2932  0.0329
O  0.5546  0.1513  0.5237
O  0.6271  0.8921  0.8589
O  0.6358  0.4824  0.3599
O  0.6406  0.5081  0.0804
O  0.6437  0.8484  0.5813
O  0.6848  0.8457  0.2588
O  0.6859  0.4798  0.7602
O  0.6941  0.4821  0.4741
O  0.7075  0.8361  0.9791
O  0.7960  0.0369  0.3100
O  0.8023  0.1695  0.8088
O  0.8117  0.1807  0.0926
O  0.8155  0.2252  0.6953
O  0.8217  0.9637  0.1958
O  0.8287  0.0079  0.5907
O  0.8342  0.4856  0.2566
O  0.8361  0.7075  0.4791
O  0.8390  0.1989  0.4166
O  0.8450  0.4645  0.9798
O  0.8457  0.6848  0.7588
O  0.8484  0.6437  0.0813
O  0.8549  0.9731  0.9112
O  0.8606  0.5055  0.5788
O  0.8808  0.4937  0.8655
O  0.8921  0.6271  0.3589
O  0.9631  0.2162  0.1935
O  0.9637  0.8217  0.6958
O  0.9731  0.8549  0.4112
O  0.9785  0.1920  0.9147

Results
- Crystal system: monoclinic

=====

[2]
Density functional theory data (GGA-PBE) for a relaxed Na4AlSi2SnPO12 crystal.

Lattice parameters (Å, degrees): 8.9251 8.9251 22.0200 90.08 89.92 119.75
Sites, in units of the cell vectors:
O  0.8696  0.4972  0.1426
Al  0.6756  0.3467  0.1857
O  0.1524  0.9700  0.9098
Na  0.3048  0.3360  0.5836
O  0.8353  0.5265  0.7440
P  0.6262  0.6716  0.9189
O  0.6341  0.4971  0.6434
O  0.3777  0.8851  0.8572
Si  0.3784  0.3395  0.0855
Na  0.7015  0.0336  0.9138
Na  0.2998  0.9652  0.0805
O  0.4857  0.6367  0.5764
O  0.8190  0.3033  0.2431
O  0.7815  0.9556  0.6905
O  0.3550  0.8460  0.5773
Na  0.3383  0.6685  0.6644
Si  0.9617  0.6237  0.0849
O  0.3007  0.8304  0.9768
P  0.9596  0.3382  0.5856
O  0.7055  0.1532  0.0267
O  0.1742  0.2181  0.6903
Al  0.0090  0.0133  0.8523
O  0.1152  0.4925  0.8569
O  0.6455  0.1500  0.4221
Na  0.3271  0.2944  0.9166
Al  0.9867  0.9910  0.3523
Sn  0.9986  0.9995  0.6495
O  0.5363  0.8306  0.4759
Si  0.9938  0.2882  0.2522
Si  0.0451  0.6728  0.4188
O  0.0217  0.1793  0.9106
Si  0.2950  0.2903  0.7515
O  0.8207  0.9783  0.4106
Na  0.0050  0.0018  0.9978
O  0.8362  0.0326  0.8101
Sn  0.6653  0.3328  0.9828
Na  0.3723  0.0062  0.7500
Sn  0.0005  0.0014  0.1495
O  0.7819  0.8258  0.1903
O  0.8278  0.0228  0.0884
O  0.1684  0.4825  0.2549
O  0.5167  0.6879  0.2554
Na  0.3306  0.0285  0.4169
O  0.1540  0.6450  0.0773
Na  0.0389  0.3396  0.0833
O  0.5020  0.8598  0.0773
O  0.0300  0.8476  0.4098
Si  0.6283  0.9570  0.4182
Na  0.9982  0.9950  0.4978
O  0.3121  0.4833  0.7554
P  0.6618  0.0404  0.0856
O  0.8361  0.7970  0.3093
Al  0.6533  0.3244  0.6857
P  0.3284  0.3738  0.4189
O  0.4945  0.3561  0.4217
O  0.1801  0.9611  0.1934
O  0.9674  0.1638  0.3101
O  0.5018  0.1491  0.9216
O  0.6321  0.1281  0.1404
Sn  0.6672  0.3347  0.4828
Na  0.3315  0.6617  0.1644
O  0.1686  0.1932  0.4106
O  0.3633  0.5143  0.0764
O  0.5385  0.7012  0.9738
O  0.1842  0.1649  0.0882
O  0.1833  0.0212  0.5888
O  0.8500  0.3545  0.9221
O  0.5075  0.8848  0.3569
O  0.0389  0.8199  0.6934
O  0.1611  0.6894  0.7551
O  0.1149  0.6223  0.3572
O  0.2030  0.1639  0.8093
O  0.5175  0.8316  0.7549
O  0.5029  0.3659  0.1434
P  0.9951  0.7071  0.7522
O  0.4482  0.2889  0.0238
O  0.2052  0.0346  0.3071
Na  0.6331  0.6318  0.7471
Na  0.3682  0.3669  0.2471
O  0.5028  0.1304  0.6426
O  0.3106  0.8389  0.2551
O  0.1696  0.6993  0.4768
Si  0.0430  0.3717  0.9182
Si  0.3272  0.9549  0.9188
Si  0.7118  0.0062  0.7522
O  0.8068  0.8314  0.9106
Na  0.9715  0.6694  0.9169
Si  0.7097  0.7050  0.2515
O  0.6967  0.1810  0.7431
O  0.8719  0.3679  0.6404
Si  0.6605  0.6216  0.5855
O  0.5135  0.6278  0.8601
Na  0.6648  0.3283  0.8311
Al  0.3423  0.6800  0.5190
P  0.2929  0.0049  0.2522
Na  0.6604  0.9611  0.5833
Na  0.6640  0.6952  0.0836
O  0.8409  0.5514  0.0236
Na  0.9938  0.6277  0.2500
Na  0.6717  0.3352  0.3311
O  0.2988  0.4615  0.4738
O  0.6439  0.5055  0.9217
Na  0.9973  0.3619  0.7503
Sn  0.3339  0.6681  0.8161
Na  0.9664  0.2985  0.4138
O  0.4735  0.1647  0.2440
O  0.4874  0.3116  0.7440
O  0.0444  0.2185  0.1905
O  0.8351  0.8158  0.5882
O  0.7111  0.5518  0.5238
O  0.8468  0.2945  0.5267
O  0.3722  0.4865  0.3601
Si  0.3763  0.0383  0.5849
O  0.9788  0.8167  0.0888
Sn  0.3319  0.6661  0.3161
Na  0.7056  0.6729  0.4166
O  0.1694  0.4637  0.9759
Na  0.6381  0.0027  0.2503
Al  0.3200  0.6577  0.0190
O  0.8509  0.4982  0.4216
O  0.6884  0.5126  0.2440
O  0.9654  0.7948  0.8071
O  0.1402  0.4980  0.5773
O  0.9772  0.1722  0.5884
Na  0.0348  0.7002  0.5805
O  0.4486  0.1591  0.5236

=====

[3]
Density functional theory data (GGA-PBE) for a relaxed Na3AlSiSnP2O12 crystal.

Lattice parameters (Å, degrees): 15.3197 8.8227 8.8861 90.00 124.92 90.00
Sites, in units of the cell vectors:
O  0.9545  0.6772  0.4311
O  0.4318  0.4528  0.0792
O  0.7521  0.6779  0.2384
O  0.5842  0.3602  0.7437
P  0.5039  0.4562  0.7577
O  0.1324  0.3516  0.9133
O  0.0675  0.9420  0.4292
O  0.3492  0.1350  0.0827
O  0.7451  0.8174  0.7615
O  0.8453  0.4362  0.2657
O  0.0675  0.0580  0.9292
O  0.0440  0.6734  0.0566
Si  0.6450  0.9002  0.7508
O  0.0440  0.3266  0.5566
O  0.9318  0.0472  0.5792
Na  0.1857  0.9301  0.2756
O  0.8492  0.6350  0.0827
O  0.0842  0.8602  0.7437
Na  0.5042  0.1097  0.7611
O  0.2521  0.1779  0.2384
O  0.5675  0.5580  0.9292
O  0.9239  0.8450  0.7547
O  0.4239  0.3450  0.7547
P  0.8525  0.6139  0.2606
O  0.1439  0.5835  0.7331
Na  0.5042  0.8903  0.2611
Na  0.2511  0.2766  0.4964
Na  0.7511  0.2234  0.9964
Al  0.1056  0.7408  0.5640
Sn  0.8981  0.7564  0.9447
O  0.6324  0.1484  0.4133
O  0.4239  0.6550  0.2547
Na  0.1857  0.0699  0.7756
O  0.2521  0.8221  0.7384
O  0.4318  0.5472  0.5792
O  0.9239  0.1550  0.2547
Na  0.7511  0.7766  0.4964
Si  0.6450  0.0998  0.2508
Sn  0.3981  0.2564  0.9447
P  0.3525  0.1139  0.2606
O  0.6324  0.8516  0.9133
Si  0.1450  0.4002  0.7508
Al  0.6056  0.2408  0.5640
Al  0.6056  0.7592  0.0640
Sn  0.8981  0.2436  0.4447
O  0.2451  0.6826  0.2615
O  0.9545  0.3228  0.9311
O  0.3492  0.8650  0.5827
O  0.5440  0.8266  0.5566
Sn  0.3981  0.7436  0.4447
O  0.6439  0.0835  0.7331
O  0.6439  0.9165  0.2331
Na  0.0042  0.3903  0.2611
Na  0.6857  0.5699  0.7756
O  0.7521  0.3221  0.7384
O  0.5842  0.6398  0.2437
Na  0.6857  0.4301  0.2756
P  0.8525  0.3861  0.7606
P  0.0039  0.0438  0.2577
O  0.5675  0.4420  0.4292
O  0.5440  0.1734  0.0566
O  0.3453  0.0638  0.7657
Na  0.2511  0.7234  0.9964
O  0.9318  0.9528  0.0792
O  0.2451  0.3174  0.7615
P  0.0039  0.9562  0.7577
O  0.1324  0.6484  0.4133
Si  0.1450  0.5998  0.2508
O  0.4545  0.1772  0.4311
P  0.3525  0.8861  0.7606
O  0.1439  0.4165  0.2331
O  0.7451  0.1826  0.2615
O  0.8453  0.5638  0.7657
O  0.4545  0.8228  0.9311
Na  0.0042  0.6097  0.7611
O  0.0842  0.1398  0.2437
P  0.5039  0.5438  0.2577
Al  0.1056  0.2592  0.0640
O  0.8492  0.3650  0.5827
O  0.3453  0.9362  0.2657

=====

[4]
Density functional theory data (GGA-PBE) for a relaxed Na7TaAl3Si3P3O24 crystal.

Lattice parameters (Å, degrees): 8.7843 8.7920 21.6989 90.10 90.00 119.77
Sites, in units of the cell vectors:
Na  0.0000  0.0000  0.0000
Na  0.9995  0.3637  0.2474
Na  0.0005  0.7314  0.4983
Na  0.0074  0.3624  0.7432
Na  0.0351  0.7003  0.1694
Na  0.2980  0.3283  0.1681
Na  0.3052  0.6952  0.6592
Na  0.3295  0.0325  0.5758
Na  0.3359  0.0344  0.0821
Na  0.3413  0.6720  0.3314
Na  0.3700  0.3660  0.4967
Na  0.3728  0.7352  0.9979
Na  0.6257  0.9961  0.4998
Na  0.6298  0.3608  0.0007
Na  0.6609  0.6896  0.9125
Na  0.6641  0.0661  0.1677
Na  0.6637  0.6957  0.4153
Na  0.6761  0.3359  0.6599
Na  0.6923  0.3974  0.3312
Na  0.6936  0.0226  0.8288
Na  0.9663  0.0253  0.3308
Ta  0.0008  0.3696  0.3950
Ta  0.0072  0.3673  0.8947
Ta  0.3295  0.0262  0.7257
Al  0.3330  0.0304  0.2335
Al  0.3380  0.0307  0.4336
Al  0.3408  0.0360  0.9354
Al  0.6612  0.6970  0.5621
Al  0.6614  0.6989  0.7679
Al  0.6630  0.6991  0.0628
Al  0.6659  0.6966  0.2707
Al  0.9948  0.3575  0.6006
Al  0.9972  0.3592  0.0993
Si  0.0477  0.7529  0.3308
Si  0.2929  0.6593  0.5041
Si  0.2958  0.3630  0.0034
Si  0.3380  0.3163  0.3306
Si  0.3379  0.7406  0.8346
Si  0.6152  0.0253  0.3301
Si  0.6855  0.9891  0.6649
Si  0.7023  0.3649  0.5033
Si  0.7050  0.0705  0.0021
P  0.0003  0.0742  0.5020
P  0.9996  0.6556  0.0024
P  0.0433  0.0220  0.8351
P  0.3766  0.6976  0.1648
P  0.3787  0.4165  0.6648
P  0.6186  0.3284  0.8334
P  0.6685  0.4124  0.1643
P  0.9425  0.6961  0.6652
P  0.9531  0.9848  0.1647
O  0.0193  0.1896  0.8381
O  0.0256  0.5527  0.3365
O  0.0345  0.1989  0.5557
O  0.0360  0.5707  0.0585
O  0.1310  0.8699  0.3923
O  0.1332  0.0063  0.8925
O  0.1337  0.8646  0.6707
O  0.1398  0.0052  0.1685
O  0.1566  0.5485  0.8364
O  0.1613  0.0585  0.7774
O  0.1605  0.3381  0.3367
O  0.1619  0.8366  0.9935
O  0.1626  0.5614  0.5615
O  0.1650  0.0570  0.4948
O  0.1648  0.3261  0.0612
O  0.1707  0.8280  0.2698
O  0.1894  0.5319  0.1590
O  0.1959  0.3971  0.6588
O  0.2019  0.4058  0.9435
O  0.2032  0.5312  0.4418
O  0.2929  0.1939  0.2692
O  0.3050  0.8487  0.4949
O  0.3062  0.8341  0.7729
O  0.3079  0.1868  0.9916
O  0.3576  0.8649  0.1691
O  0.3603  0.2293  0.6725
O  0.3672  0.8670  0.8930
O  0.3711  0.2323  0.3920
O  0.4609  0.6642  0.2219
O  0.4664  0.5314  0.7216
O  0.4858  0.6754  0.5058
O  0.4887  0.5371  0.0077
O  0.4931  0.7285  0.1074
O  0.4951  0.4885  0.6070
O  0.4978  0.9895  0.3917
O  0.4996  0.0126  0.6712
O  0.5029  0.2266  0.1679
O  0.5060  0.5136  0.3231
O  0.5105  0.1917  0.4943
O  0.5098  0.2420  0.8910
O  0.5120  0.0516  0.9936
O  0.5120  0.7236  0.8266
O  0.5334  0.2062  0.7757
O  0.5378  0.0727  0.2693
O  0.6300  0.8595  0.6058
O  0.6395  0.4997  0.1070
O  0.6433  0.5106  0.8239
O  0.6430  0.8563  0.3222
O  0.6924  0.8794  0.0076
O  0.6928  0.5450  0.5073
O  0.6974  0.8989  0.7282
O  0.6987  0.5278  0.2219
O  0.7964  0.2035  0.0598
O  0.7961  0.3265  0.5606
O  0.8001  0.3339  0.8378
O  0.8142  0.2007  0.3370
O  0.8274  0.6669  0.7219
O  0.8296  0.3998  0.4411
O  0.8323  0.1616  0.9404
O  0.8332  0.6714  0.0076
O  0.8348  0.8920  0.5068
O  0.8374  0.3946  0.1594
O  0.8367  0.8996  0.2218
O  0.8456  0.1900  0.6598
O  0.8495  0.7210  0.3231
O  0.8596  0.8624  0.8281
O  0.8650  0.7252  0.6065
O  0.8672  0.8682  0.1072
O  0.9629  0.5319  0.9450
O  0.9648  0.1548  0.4421
O  0.9716  0.1716  0.1602
O  0.9764  0.5393  0.6622

Results
- Crystal system: triclinic

=====

Spin magnetization (computed, μB/cell): 0.0, 0.0, 0.0, 0.0
Energy of formation from the pure elements (computed, eV per formula unit): -54.257, -57.212, -54.226, -119.782